[1]
# MoW2Se2S4 | the Materials Project | GGA-PBE | optimized geometry
data_MoW2Se2S4
_chemical_formula_sum 'Mo1 W2 Se2 S4'
_cell_length_a 3.2313
_cell_length_b 3.2313
_cell_length_c 29.6780
_cell_angle_alpha 90.00
_cell_angle_beta 90.00
_cell_angle_gamma 120.00
_symmetry_space_group_name_H-M 'P -6 m 2'
_symmetry_Int_Tables_number 187
_symmetry_space_group_name_Hall 'P -6 2'
loop_
_atom_site_label
_atom_site_type_symbol
_atom_site_fract_x
_atom_site_fract_y
_atom_site_fract_z
_atom_site_occupancy
Mo1 Mo 0.0000 0.0000 0.0000 1
W1 W 0.6667 0.3333 0.2314 1
Se1 Se 0.6667 0.3333 0.0575 1
S1 S 0.0000 0.0000 0.1789 1
S2 S 0.0000 0.0000 0.2838 1
# Raw total energy (eV per atom): -7.457
# V (Å³ per cell): 268.4
# Energy of formation (eV per atom): -0.980
# Corrected total energy (MP2020 scheme) (eV per cell): -69.123

[2]
# Mg2Sn | the Materials Project | GGA-PBE | optimized geometry
data_Mg2Sn
_chemical_formula_sum 'Mg4 Sn2'
_cell_length_a 5.8076
_cell_length_b 5.8076
_cell_length_c 4.9445
_cell_angle_alpha 90.00
_cell_angle_beta 90.00
_cell_angle_gamma 120.00
_symmetry_space_group_name_H-M 'P -6 2 m'
_symmetry_Int_Tables_number 189
_symmetry_space_group_name_Hall 'P -6 -2'
loop_
_atom_site_label
_atom_site_type_symbol
_atom_site_fract_x
_atom_site_fract_y
_atom_site_fract_z
_atom_site_occupancy
Mg1 Mg 0.0000 0.0000 0.0000 1
Mg2 Mg 0.0000 0.6662 0.5000 1
Sn1 Sn 0.3333 0.6667 0.0000 1
# Raw total energy (eV per atom): -2.469
# V (Å³ per cell): 144.4
# Total magnetic moment (μB/f.u.): 0.00
# Energy of formation (eV per atom): -0.066

[3]
# SrCaEuSbO6 | the Materials Project | GGA-PBE | optimized geometry
data_SrCaEuSbO6
_chemical_formula_sum 'Sr2 Ca2 Eu2 Sb2 O12'
_cell_length_a 5.8541
_cell_length_b 5.8541
_cell_length_c 8.5256
_cell_angle_alpha 90.00
_cell_angle_beta 90.00
_cell_angle_gamma 90.00
_symmetry_space_group_name_H-M 'P -4 n 2'
_symmetry_Int_Tables_number 118
loop_
_symmetry_equiv_pos_as_xyz
'x,y,z'
'y,-x,-z'
'-x,-y,z'
'-y,x,-z'
'-x+1/2,y+1/2,z+1/2'
'-y+1/2,-x+1/2,-z+1/2'
'x+1/2,-y+1/2,z+1/2'
'y+1/2,x+1/2,-z+1/2'
loop_
_atom_site_label
_atom_site_type_symbol
_atom_site_fract_x
_atom_site_fract_y
_atom_site_fract_z
_atom_site_occupancy
Sr1 Sr 0.0000 0.5000 0.2500 1
Ca1 Ca 0.0000 0.5000 0.7500 1
Eu1 Eu 0.0000 0.0000 0.0000 1
Sb1 Sb 0.0000 0.0000 0.5000 1
O1 O 0.0000 0.0000 0.2648 1
O2 O 0.1565 0.3062 0.5102 1
# Raw total energy (eV per atom): -7.178
# V (Å³ per cell): 292.2
# Total magnetic moment (μB/f.u.): 6.00
# Energy of formation (eV per atom): -2.813
# Corrected total energy (MP2020 scheme) (eV per cell): -151.800

[4]
# SiO2 | the Materials Project | GGA-PBE | optimized geometry
data_SiO2
_chemical_formula_sum 'Si24 O48'
_cell_length_a 10.2228
_cell_length_b 10.2228
_cell_length_c 10.2228
_cell_angle_alpha 90.00
_cell_angle_beta 90.00
_cell_angle_gamma 90.00
_symmetry_space_group_name_H-M 'I a -3 d'
_symmetry_Int_Tables_number 230
_symmetry_space_group_name_Hall '-I 4bd 2c 3'
loop_
_atom_site_label
_atom_site_type_symbol
_atom_site_fract_x
_atom_site_fract_y
_atom_site_fract_z
_atom_site_occupancy
Si1 Si 0.0000 0.2500 0.3750 1
O1 O 0.0324 0.1250 0.7824 1
# Raw total energy (eV per atom): -7.905
# V (Å³ per cell): 1068.3
# Energy of formation (eV per atom): -3.256
# Corrected total energy (MP2020 scheme) (eV per cell): -602.108

[5]
# DyNi4B | the Materials Project | GGA-PBE | optimized geometry
data_DyNi4B
_chemical_formula_sum 'Dy4 Ni16 B4'
_cell_length_a 4.9806
_cell_length_b 8.6537
_cell_length_c 6.9560
_cell_angle_alpha 90.00
_cell_angle_beta 90.00
_cell_angle_gamma 90.00
_symmetry_space_group_name_H-M 'C m m m'
_symmetry_Int_Tables_number 65
_symmetry_space_group_name_Hall '-C 2 2'
loop_
_atom_site_label
_atom_site_type_symbol
_atom_site_fract_x
_atom_site_fract_y
_atom_site_fract_z
_atom_site_occupancy
Dy1 Dy 0.0000 0.0000 0.0000 1
Dy2 Dy 0.0000 0.0000 0.5000 1
Ni1 Ni 0.0000 0.3333 0.0000 1
Ni2 Ni 0.0000 0.5000 0.2929 1
Ni3 Ni 0.2500 0.2500 0.2926 1
B1 B 0.0000 0.3333 0.5000 1
# Raw total energy (eV per atom): -6.225
# V (Å³ per cell): 299.8
# Total magnetic moment (μB/f.u.): 0.00
# Energy of formation (eV per atom): -0.491

[6]
# CdP2H4O8 | the Materials Project | GGA-PBE | optimized geometry
data_CdP2H4O8
_chemical_formula_sum 'Cd18 P36 H72 O144'
_cell_length_a 16.4067
_cell_length_b 16.4067
_cell_length_c 20.4068
_cell_angle_alpha 90.00
_cell_angle_beta 90.00
_cell_angle_gamma 120.00
_symmetry_space_group_name_H-M 'R -3'
_symmetry_Int_Tables_number 148
_symmetry_space_group_name_Hall '-R 3'
loop_
_atom_site_label
_atom_site_type_symbol
_atom_site_fract_x
_atom_site_fract_y
_atom_site_fract_z
_atom_site_occupancy
Cd1 Cd 0.0060 0.7725 0.1267 1
P1 P 0.0556 0.1951 0.2366 1
P2 P 0.0579 0.2032 0.7209 1
H1 H 0.0024 0.2875 0.2701 1
H2 H 0.0084 0.2379 0.0509 1
H3 H 0.0297 0.2074 0.0443 1
H4 H 0.0825 0.8721 0.4936 1
O1 O 0.0360 0.4833 0.3383 1
O2 O 0.0472 0.2658 0.7724 1
O3 O 0.0494 0.8893 0.7693 1
O4 O 0.0518 0.8888 0.2830 1
O5 O 0.0543 0.2744 0.2796 1
O6 O 0.0782 0.1566 0.6512 1
O7 O 0.0869 0.5482 0.2836 1
O8 O 0.0937 0.2218 0.1689 1
# Raw total energy (eV per atom): -4.997
# V (Å³ per cell): 4757.2
# Total magnetic moment (μB/f.u.): 0.06
# Energy of formation (eV per atom): -1.037
# Corrected total energy (MP2020 scheme) (eV per cell): -1448.171

[7]
# NaNdHfSnO6 | the Materials Project | GGA-PBE | optimized geometry
data_NaNdHfSnO6
_chemical_formula_sum 'Na4 Nd4 Hf4 Sn4 O24'
_cell_length_a 8.1563
_cell_length_b 8.1563
_cell_length_c 8.1563
_cell_angle_alpha 90.00
_cell_angle_beta 90.00
_cell_angle_gamma 90.00
_symmetry_space_group_name_H-M 'F -4 3 m'
_symmetry_Int_Tables_number 216
_symmetry_space_group_name_Hall 'F -4 2 3'
loop_
_atom_site_label
_atom_site_type_symbol
_atom_site_fract_x
_atom_site_fract_y
_atom_site_fract_z
_atom_site_occupancy
Na1 Na 0.0000 0.0000 0.0000 1
Nd1 Nd 0.0000 0.0000 0.5000 1
Hf1 Hf 0.2500 0.2500 0.2500 1
Sn1 Sn 0.2500 0.2500 0.7500 1
O1 O 0.9996 0.2500 0.2500 1
# Raw total energy (eV per atom): -7.516
# V (Å³ per cell): 542.6
# Total magnetic moment (μB/f.u.): 0.00
# Energy of formation (eV per atom): -2.954
# Corrected total energy (MP2020 scheme) (eV per cell): -317.127

[8]
# BaCuC4O14 | the Materials Project | GGA-PBE | optimized geometry
data_BaCuC4O14
_chemical_formula_sum 'Ba2 Cu2 C8 O28'
_cell_length_a 6.4403
_cell_length_b 9.1621
_cell_length_c 10.7554
_cell_angle_alpha 85.86
_cell_angle_beta 78.92
_cell_angle_gamma 77.57
_symmetry_space_group_name_H-M 'P -1'
_symmetry_Int_Tables_number 2
loop_
_symmetry_equiv_pos_as_xyz
'x,y,z'
'-x,-y,-z'
loop_
_atom_site_label
_atom_site_type_symbol
_atom_site_fract_x
_atom_site_fract_y
_atom_site_fract_z
_atom_site_occupancy
Ba1 Ba 0.1701 0.3883 0.2879 1
Cu1 Cu 0.0279 0.9403 0.2276 1
C1 C 0.1151 0.2700 0.6128 1
C2 C 0.1889 0.1219 0.5417 1
C3 C 0.2039 0.1458 0.0716 1
C4 C 0.2508 0.0017 0.9959 1
O1 O 0.0159 0.2612 0.7289 1
O2 O 0.0971 0.1317 0.1876 1
O3 O 0.1342 0.0077 0.6070 1
O4 O 0.1419 0.3913 0.5573 1
O5 O 0.1842 0.8898 0.0620 1
O6 O 0.1986 0.5703 0.8310 1
O7 O 0.2604 0.2635 0.0313 1
O8 O 0.2624 0.6799 0.6367 1
O9 O 0.2848 0.1221 0.4298 1
O10 O 0.3266 0.6408 0.7471 1
O11 O 0.3395 0.9948 0.8832 1
O12 O 0.4053 0.8033 0.3239 1
O13 O 0.4142 0.6687 0.3498 1
O14 O 0.4313 0.5346 0.0414 1
# Raw total energy (eV per atom): -6.486
# V (Å³ per cell): 607.9
# Total magnetic moment (μB/f.u.): 4.00
# Energy of formation (eV per atom): -0.876

[9]
# LaNi5H7 | the Materials Project | GGA-PBE | optimized geometry
data_LaNi5H7
_chemical_formula_sum 'La2 Ni10 H14'
_cell_length_a 5.3480
_cell_length_b 5.3480
_cell_length_c 8.5855
_cell_angle_alpha 90.00
_cell_angle_beta 90.00
_cell_angle_gamma 120.00
_symmetry_space_group_name_H-M 'P 63 m c'
_symmetry_Int_Tables_number 186
_symmetry_space_group_name_Hall 'P 6c -2c'
loop_
_atom_site_label
_atom_site_type_symbol
_atom_site_fract_x
_atom_site_fract_y
_atom_site_fract_z
_atom_site_occupancy
La1 La 0.0000 0.0000 0.0000 1
Ni1 Ni 0.9999 0.4999 0.2753 1
Ni2 Ni 0.3333 0.6667 0.0217 1
Ni3 Ni 0.3333 0.6667 0.5437 1
H1 H 0.0102 0.5051 0.4683 1
H2 H 0.1545 0.3090 0.7453 1
H3 H 0.3333 0.6667 0.2096 1
# Raw total energy (eV per atom): -4.654
# V (Å³ per cell): 212.7
# Energy of formation (eV per atom): -0.321
# Corrected total energy (MP2020 scheme) (eV per cell): -123.510

[10]
# Dy3Co4Ge13 | the Materials Project | GGA-PBE | optimized geometry
data_Dy3Co4Ge13
_chemical_formula_sum 'Dy6 Co8 Ge26'
_cell_length_a 8.7772
_cell_length_b 8.7772
_cell_length_c 8.7772
_cell_angle_alpha 90.00
_cell_angle_beta 90.00
_cell_angle_gamma 90.00
_symmetry_space_group_name_H-M 'P m -3 n'
_symmetry_Int_Tables_number 223
_symmetry_space_group_name_Hall '-P 4n 2 3'
loop_
_atom_site_label
_atom_site_type_symbol
_atom_site_fract_x
_atom_site_fract_y
_atom_site_fract_z
_atom_site_occupancy
Dy1 Dy 0.0000 0.2500 0.5000 1
Co1 Co 0.2500 0.2500 0.2500 1
Ge1 Ge 0.0000 0.0000 0.0000 1
Ge2 Ge 0.0000 0.3027 0.1528 1
# Raw total energy (eV per atom): -5.532
# V (Å³ per cell): 676.2
# Total magnetic moment (μB/f.u.): 0.00
# Energy of formation (eV per atom): -0.414

[11]
# CoRe3 | the Materials Project | GGA-PBE | optimized geometry
data_CoRe3
_chemical_formula_sum 'Co2 Re6'
_cell_length_a 5.4237
_cell_length_b 5.4237
_cell_length_c 4.3589
_cell_angle_alpha 90.00
_cell_angle_beta 90.00
_cell_angle_gamma 120.00
_symmetry_space_group_name_H-M 'P 63/m m c'
_symmetry_Int_Tables_number 194
_symmetry_space_group_name_Hall '-P 6c 2c'
loop_
_atom_site_label
_atom_site_type_symbol
_atom_site_fract_x
_atom_site_fract_y
_atom_site_fract_z
_atom_site_occupancy
Co1 Co 0.3333 0.6667 0.2500 1
Re1 Re 0.1664 0.3327 0.7500 1
# Raw total energy (eV per atom): -11.178
# V (Å³ per cell): 111.0
# Energy of formation (eV per atom): -0.067

[12]
# CrN2 | the Materials Project | GGA-PBE | optimized geometry
data_CrN2
_chemical_formula_sum 'Cr8 N16'
_cell_length_a 11.8878
_cell_length_b 8.9550
_cell_length_c 5.5449
_cell_angle_alpha 90.00
_cell_angle_beta 113.13
_cell_angle_gamma 90.00
_symmetry_space_group_name_H-M 'C 1 2/c 1'
_symmetry_Int_Tables_number 15
loop_
_symmetry_equiv_pos_as_xyz
'x,y,z'
'-x,-y,-z'
'-x,y,-z+1/2'
'x,-y,z+1/2'
'x+1/2,y+1/2,z'
'-x+1/2,-y+1/2,-z'
'-x+1/2,y+1/2,-z+1/2'
'x+1/2,-y+1/2,z+1/2'
loop_
_atom_site_label
_atom_site_type_symbol
_atom_site_fract_x
_atom_site_fract_y
_atom_site_fract_z
_atom_site_occupancy
Cr1 Cr 0.1506 0.1054 0.3550 1
N1 N 0.0000 0.1627 0.2500 1
N2 N 0.1717 0.0319 0.0867 1
N3 N 0.2500 0.2500 0.5000 1
# Raw total energy (eV per atom): -8.627
# V (Å³ per cell): 542.8
# Total magnetic moment (μB/f.u.): 0.00
# Energy of formation (eV per atom): -0.093
# Corrected total energy (MP2020 scheme) (eV per cell): -212.831

[13]
# Si | the Materials Project | GGA-PBE | optimized geometry
data_Si
_chemical_formula_sum 'Si6'
_cell_length_a 6.8872
_cell_length_b 6.8872
_cell_length_c 2.4643
_cell_angle_alpha 90.00
_cell_angle_beta 90.00
_cell_angle_gamma 120.00
_symmetry_space_group_name_H-M 'P 6/m'
_symmetry_Int_Tables_number 175
_symmetry_space_group_name_Hall '-P 6'
loop_
_atom_site_label
_atom_site_type_symbol
_atom_site_fract_x
_atom_site_fract_y
_atom_site_fract_z
_atom_site_occupancy
Si1 Si 0.1454 0.7186 0.0000 1
# Raw total energy (eV per atom): -5.065
# V (Å³ per cell): 101.2
# Total magnetic moment (μB/f.u.): 0.00
# Energy of formation (eV per atom): 0.360